Entry 1:
Below is a relaxed structure of CuTeSBr, with properties calculated at the GGA-PBE level.

Summary:
space group: P2_1/c

Structure (POSCAR):
```
CuTeSBr
1.0
8.0107 0.0000 0.0000
0.0000 4.9130 0.0000
-5.4545 0.0000 11.1676
Cu Te S Br
4 4 4 4
direct
0.1938 0.1291 0.2517
0.1938 0.3709 0.7517
0.8062 0.6291 0.2483
0.8062 0.8709 0.7483
0.2910 0.0041 0.6465
0.2910 0.4959 0.1465
0.7090 0.5041 0.8535
0.7090 0.9959 0.3535
0.4167 0.6902 0.8296
0.4167 0.8098 0.3296
0.5833 0.1902 0.6704
0.5833 0.3098 0.1704
0.0857 0.1481 0.8867
0.0857 0.3519 0.3867
0.9143 0.6481 0.6133
0.9143 0.8519 0.1133
```



Entry 2:
Below is a relaxed structure of CuTe2Br, with properties calculated at the GGA-PBE level.

Summary:
space group: P2_1/c

Structure (POSCAR):
```
CuTe2Br
1.0
8.3970 0.0000 0.0000
0.0000 5.2285 0.0000
-5.4735 0.0000 11.5440
Cu Te Br
4 8 4
direct
0.1790 0.1302 0.2491
0.1790 0.3698 0.7491
0.8210 0.6302 0.2509
0.8210 0.8698 0.7509
0.2787 0.0304 0.6462
0.2787 0.4696 0.1462
0.4121 0.7118 0.8504
0.4121 0.7882 0.3504
0.5879 0.2118 0.6496
0.5879 0.2882 0.1496
0.7213 0.5304 0.8538
0.7213 0.9696 0.3538
0.0845 0.1236 0.8789
0.0845 0.3764 0.3789
0.9155 0.6236 0.6211
0.9155 0.8764 0.1211
```



| no. | E_tot (eV per atom) |
| --- | --- |
| 1 | -3.47 |
| 2 | -3.21 |